Run A
MgCu2Se2O8: relaxed, PBE.

a = 5.649 Å, b = 5.649 Å, c = 7.490 Å
α = 90.24°, β = 90.24°, γ = 58.33°
Fractional coordinates of all 13 atoms:
1 Mg 0.000 0.000 0.000
2 Cu 0.250 0.250 0.340
3 Cu 0.253 0.253 0.665
4 Se 0.545 0.545 0.505
5 Se 0.730 0.730 0.005
6 O 0.387 0.887 0.008
7 O 0.390 0.903 0.504
8 O 0.447 0.447 0.316
9 O 0.449 0.449 0.695
10 O 0.836 0.836 0.830
11 O 0.841 0.841 0.176
12 O 0.887 0.387 0.008
13 O 0.903 0.390 0.504

As for the total moment: 0.00 μB/cell.

---

Run B
MgCu2Se2O8: relaxed, PBE.

a = 5.297 Å, b = 5.297 Å, c = 6.641 Å
α = 94.66°, β = 94.66°, γ = 69.71°
Fractional coordinates of all 13 atoms:
1 Mg 0.000 0.000 0.000
2 Cu 0.500 0.500 0.000
3 Cu 0.500 0.500 0.500
4 Se 0.170 0.170 0.702
5 Se 0.830 0.830 0.298
6 O 0.173 0.740 0.245
7 O 0.260 0.827 0.755
8 O 0.278 0.278 0.506
9 O 0.281 0.281 0.931
10 O 0.719 0.719 0.069
11 O 0.722 0.722 0.494
12 O 0.740 0.173 0.245
13 O 0.827 0.260 0.755

As for the total moment: 0.00 μB/cell.

---

Run C
MgCu2Se2O8: relaxed, PBE.

a = 6.495 Å, b = 5.242 Å, c = 5.242 Å
α = 72.61°, β = 90.00°, γ = 90.00°
Fractional coordinates of all 13 atoms:
1 Mg 0.000 0.000 0.000
2 Cu 0.287 0.330 0.330
3 Cu 0.713 0.330 0.330
4 Se 0.000 0.670 0.670
5 Se 0.500 0.963 0.963
6 O 0.000 0.016 0.593
7 O 0.000 0.593 0.016
8 O 0.213 0.559 0.559
9 O 0.284 0.092 0.092
10 O 0.500 0.107 0.619
11 O 0.500 0.619 0.107
12 O 0.716 0.092 0.092
13 O 0.787 0.559 0.559

As for the total moment: 0.00 μB/cell.

---

Unit: meV per atom. Relative energies: run A 58; run B 104; run C 0.

---

Run A
Mg6CuSiO8: relaxed, PBE.

a = 4.289 Å, b = 4.289 Å, c = 8.583 Å
α = 90.00°, β = 90.00°, γ = 90.00°
Fractional coordinates of all 16 atoms:
1 Mg 0.000 0.000 0.000
2 Mg 0.000 0.000 0.500
3 Mg 0.000 0.500 0.241
4 Mg 0.000 0.500 0.759
5 Mg 0.500 0.000 0.241
6 Mg 0.500 0.000 0.759
7 Cu 0.500 0.500 0.000
8 Si 0.500 0.500 0.500
9 O 0.000 0.000 0.251
10 O 0.000 0.000 0.749
11 O 0.000 0.500 0.000
12 O 0.000 0.500 0.500
13 O 0.500 0.000 0.000
14 O 0.500 0.000 0.500
15 O 0.500 0.500 0.287
16 O 0.500 0.500 0.713

As for the total moment: 0.00 μB/cell.

---

Run B
Mg6CuSiO8: relaxed, PBE.

a = 4.254 Å, b = 4.254 Å, c = 8.695 Å
α = 90.00°, β = 90.00°, γ = 90.00°
Fractional coordinates of all 16 atoms:
1 Mg 0.000 0.000 0.000
2 Mg 0.000 0.500 0.250
3 Mg 0.000 0.500 0.750
4 Mg 0.500 0.000 0.250
5 Mg 0.500 0.000 0.750
6 Mg 0.500 0.500 0.000
7 Cu 0.000 0.000 0.500
8 Si 0.500 0.500 0.500
9 O 0.000 0.000 0.235
10 O 0.000 0.000 0.765
11 O 0.000 0.500 0.000
12 O 0.000 0.500 0.500
13 O 0.500 0.000 0.000
14 O 0.500 0.000 0.500
15 O 0.500 0.500 0.258
16 O 0.500 0.500 0.742

As for the total moment: 0.00 μB/cell.

---

Unit: meV per atom. Relative energies: run A 0; run B 35.